{
  "formula": "Lu2CdTc",
  "functional": "GGA-PBE",
  "state": "optimized geometry",
  "lattice_angstrom": [[6.993, 0.000, 0.000], [0.000, 6.993, 0.000], [0.000, 0.000, 6.993]],
  "species": ["Lu", "Lu", "Lu", "Lu", "Lu", "Lu", "Lu", "Lu", "Cd", "Cd", "Cd", "Cd", "Tc", "Tc", "Tc", "Tc"],
  "fractional_positions": [[0.250, 0.250, 0.250], [0.250, 0.250, 0.750], [0.250, 0.750, 0.250], [0.250, 0.750, 0.750], [0.750, 0.250, 0.250], [0.750, 0.250, 0.750], [0.750, 0.750, 0.250], [0.750, 0.750, 0.750], [0.000, 0.000, 0.000], [0.000, 0.500, 0.500], [0.500, 0.000, 0.500], [0.500, 0.500, 0.000], [0.000, 0.000, 0.500], [0.000, 0.500, 0.000], [0.500, 0.000, 0.000], [0.500, 0.500, 0.500]],
  "energy_ev_per_atom": -5.2367,
  "formation_enthalpy_0k_ev_per_atom": -0.16,
  "spacegroup": "Fm-3m"
}